Entry 1:
First-principles (r2SCAN) data for crystalline Na2B2S5 at its relaxed geometry, as listed in the Materials Project database.

## Properties
Space-group type: Pnma, No. 62

Unit cell a=12.503 b=7.424 c=8.300 alpha=90.00 beta=90.00 gamma=90.00
Element x y z (fractional)
Na1 0.166 0.004 0.003
Na2 0.166 0.496 0.003
Na3 0.334 0.504 0.503
Na4 0.334 0.996 0.503
Na5 0.666 0.004 0.497
Na6 0.666 0.496 0.497
Na7 0.834 0.504 0.997
Na8 0.834 0.996 0.997
B1 0.014 0.250 0.292
B2 0.122 0.250 0.595
B3 0.378 0.750 0.095
B4 0.486 0.750 0.792
B5 0.514 0.250 0.208
B6 0.622 0.250 0.905
B7 0.878 0.750 0.405
B8 0.986 0.750 0.708
S1 0.007 0.750 0.919
S2 0.016 0.750 0.344
S3 0.095 0.750 0.565
S4 0.149 0.250 0.378
S5 0.228 0.250 0.737
S6 0.272 0.750 0.237
S7 0.351 0.750 0.878
S8 0.405 0.250 0.065
S9 0.484 0.250 0.844
S10 0.493 0.250 0.419
S11 0.507 0.750 0.581
S12 0.516 0.750 0.156
S13 0.595 0.750 0.935
S14 0.649 0.250 0.122
S15 0.728 0.250 0.763
S16 0.772 0.750 0.263
S17 0.851 0.750 0.622
S18 0.905 0.250 0.435
S19 0.984 0.250 0.656
S20 0.993 0.250 0.081


Entry 2:
First-principles (r2SCAN) data for crystalline SiO2 at its relaxed geometry, as listed in the Materials Project database.

Unit cell a=9.883 b=9.883 c=9.883 alpha=90.00 beta=90.00 gamma=90.00
Element x y z (fractional)
Si1 0.157 0.157 0.157
Si2 0.157 0.843 0.157
Si3 0.843 0.157 0.157
Si4 0.343 0.343 0.657
Si5 0.657 0.343 0.343
Si6 0.657 0.657 0.657
Si7 0.343 0.657 0.343
Si8 0.343 0.657 0.657
Si9 0.657 0.343 0.657
Si10 0.157 0.843 0.843
Si11 0.843 0.843 0.843
Si12 0.343 0.343 0.343
Si13 0.657 0.657 0.343
Si14 0.157 0.157 0.843
Si15 0.843 0.157 0.843
Si16 0.843 0.843 0.157
O1 0.189 0.000 0.189
O2 0.500 0.311 0.689
O3 0.189 0.189 0.000
O4 0.689 0.500 0.311
O5 0.250 0.250 0.250
O6 0.189 0.000 0.811
O7 0.000 0.811 0.189
O8 0.500 0.311 0.311
O9 0.000 0.189 0.189
O10 0.311 0.689 0.500
O11 0.189 0.811 0.000
O12 0.811 0.000 0.811
O13 0.750 0.750 0.250
O14 0.689 0.311 0.500
O15 0.689 0.500 0.689
O16 0.750 0.750 0.750
O17 0.500 0.689 0.689
O18 0.250 0.750 0.750
O19 0.811 0.000 0.189
O20 0.689 0.689 0.500
O21 0.000 0.189 0.811
O22 0.250 0.250 0.750
O23 0.500 0.689 0.311
O24 0.811 0.189 0.000
O25 0.811 0.811 0.000
O26 0.750 0.250 0.250
O27 0.000 0.811 0.811
O28 0.311 0.311 0.500
O29 0.750 0.250 0.750
O30 0.311 0.500 0.689
O31 0.250 0.750 0.250
O32 0.311 0.500 0.311


Entry 3:
First-principles (r2SCAN) data for crystalline Ba2ZnOsO6 at its relaxed geometry, as listed in the Materials Project database.

## Properties
Space-group type: Fm-3m, No. 225

Unit cell a=5.746 b=5.746 c=5.746 alpha=60.00 beta=60.00 gamma=60.00
Element x y z (fractional)
Ba1 0.250 0.250 0.250
Ba2 0.750 0.750 0.750
Zn1 0.000 0.000 0.000
Os1 0.500 0.500 0.500
O1 0.261 0.261 0.739
O2 0.261 0.739 0.261
O3 0.261 0.739 0.739
O4 0.739 0.261 0.261
O5 0.739 0.261 0.739
O6 0.739 0.739 0.261


Entry 4:
First-principles (r2SCAN) data for crystalline Li5GaO4 at its relaxed geometry, as listed in the Materials Project database.

## Properties
Space-group type: Pbca, No. 61

Unit cell a=9.034 b=9.111 c=9.093 alpha=90.00 beta=90.00 gamma=90.00
Element x y z (fractional)
Li1 0.103 0.156 0.118
Li2 0.103 0.344 0.618
Li3 0.105 0.646 0.873
Li4 0.105 0.854 0.373
Li5 0.127 0.120 0.855
Li6 0.127 0.380 0.355
Li7 0.140 0.607 0.612
Li8 0.140 0.893 0.112
Li9 0.164 0.121 0.393
Li10 0.164 0.379 0.893
Li11 0.336 0.621 0.393
Li12 0.336 0.879 0.893
Li13 0.360 0.107 0.612
Li14 0.360 0.393 0.112
Li15 0.373 0.620 0.855
Li16 0.373 0.880 0.355
Li17 0.395 0.146 0.873
Li18 0.395 0.354 0.373
Li19 0.397 0.656 0.118
Li20 0.397 0.844 0.618
Li21 0.603 0.156 0.382
Li22 0.603 0.344 0.882
Li23 0.605 0.646 0.627
Li24 0.605 0.854 0.127
Li25 0.627 0.120 0.645
Li26 0.627 0.380 0.145
Li27 0.640 0.607 0.888
Li28 0.640 0.893 0.388
Li29 0.664 0.121 0.107
Li30 0.664 0.379 0.607
Li31 0.836 0.621 0.107
Li32 0.836 0.879 0.607
Li33 0.860 0.107 0.888
Li34 0.860 0.393 0.388
Li35 0.873 0.620 0.645
Li36 0.873 0.880 0.145
Li37 0.895 0.146 0.627
Li38 0.895 0.354 0.127
Li39 0.897 0.656 0.382
Li40 0.897 0.844 0.882
Ga1 0.117 0.618 0.145
Ga2 0.117 0.882 0.645
Ga3 0.383 0.118 0.145
Ga4 0.383 0.382 0.645
Ga5 0.617 0.618 0.355
Ga6 0.617 0.882 0.855
Ga7 0.883 0.118 0.355
Ga8 0.883 0.382 0.855
O1 0.001 0.245 0.468
O2 0.001 0.255 0.968
O3 0.014 0.005 0.250
O4 0.014 0.495 0.750
O5 0.239 0.746 0.249
O6 0.239 0.754 0.749
O7 0.245 0.533 0.008
O8 0.245 0.967 0.508
O9 0.255 0.033 0.008
O10 0.255 0.467 0.508
O11 0.261 0.246 0.249
O12 0.261 0.254 0.749
O13 0.486 0.505 0.250
O14 0.486 0.995 0.750
O15 0.499 0.745 0.468
O16 0.499 0.755 0.968
O17 0.501 0.245 0.032
O18 0.501 0.255 0.532
O19 0.514 0.005 0.250
O20 0.514 0.495 0.750
O21 0.739 0.746 0.251
O22 0.739 0.754 0.751
O23 0.745 0.533 0.492
O24 0.745 0.967 0.992
O25 0.755 0.033 0.492
O26 0.755 0.467 0.992
O27 0.761 0.246 0.251
O28 0.761 0.254 0.751
O29 0.986 0.505 0.250
O30 0.986 0.995 0.750
O31 0.999 0.745 0.032
O32 0.999 0.755 0.532


Entry 5:
First-principles (r2SCAN) data for crystalline NdAl2Ga2 at its relaxed geometry, as listed in the Materials Project database.

## Properties
Space-group type: C2/m, No. 12

Unit cell a=4.180 b=4.180 c=6.305 alpha=108.88 beta=108.88 gamma=90.10
Element x y z (fractional)
Nd1 0.000 0.000 0.000
Al1 0.248 0.752 0.500
Al2 0.752 0.248 0.500
Ga1 0.389 0.389 0.777
Ga2 0.611 0.611 0.223


Entry 6:
First-principles (r2SCAN) data for crystalline TaN2 at its relaxed geometry, as listed in the Materials Project database.

## Properties
Space-group type: P6/mmm, No. 191

Unit cell a=5.458 b=5.458 c=2.782 alpha=90.00 beta=90.00 gamma=120.00
Element x y z (fractional)
Ta1 0.333 0.667 0.000
Ta2 0.667 0.333 0.000
N1 0.000 0.000 0.500
N2 0.000 0.500 0.500
N3 0.500 0.000 0.500
N4 0.500 0.500 0.500


Entry 7:
First-principles (r2SCAN) data for crystalline ReRh2O6 at its relaxed geometry, as listed in the Materials Project database.

## Properties
Space-group type: P4_2/mnm, No. 136

Unit cell a=4.557 b=4.557 c=9.278 alpha=90.00 beta=90.00 gamma=90.00
Element x y z (fractional)
Re1 0.000 0.000 0.000
Re2 0.500 0.500 0.500
Rh1 0.000 0.000 0.333
Rh2 0.000 0.000 0.667
Rh3 0.500 0.500 0.167
Rh4 0.500 0.500 0.833
O1 0.191 0.191 0.159
O2 0.191 0.191 0.841
O3 0.201 0.201 0.500
O4 0.299 0.701 0.000
O5 0.309 0.691 0.341
O6 0.309 0.691 0.659
O7 0.691 0.309 0.341
O8 0.691 0.309 0.659
O9 0.701 0.299 0.000
O10 0.799 0.799 0.500
O11 0.809 0.809 0.159
O12 0.809 0.809 0.841


Entry 8:
First-principles (r2SCAN) data for crystalline Rb2GeF6 at its relaxed geometry, as listed in the Materials Project database.

## Properties
Space-group type: Fm-3m, No. 225

Unit cell a=5.970 b=5.970 c=5.970 alpha=60.00 beta=60.00 gamma=60.00
Element x y z (fractional)
Rb1 0.250 0.250 0.250
Rb2 0.750 0.750 0.750
Ge1 0.000 0.000 0.000
F1 0.215 0.215 0.785
F2 0.215 0.785 0.215
F3 0.215 0.785 0.785
F4 0.785 0.215 0.215
F5 0.785 0.215 0.785
F6 0.785 0.785 0.215


Entry 9:
First-principles (r2SCAN) data for crystalline TiSn2O4 at its relaxed geometry, as listed in the Materials Project database.

## Properties
Space-group type: P4_2/mbc, No. 135

Unit cell a=8.533 b=8.533 c=5.930 alpha=90.00 beta=90.00 gamma=90.00
Element x y z (fractional)
Ti1 0.000 0.500 0.250
Ti2 0.000 0.500 0.750
Ti3 0.500 0.000 0.250
Ti4 0.500 0.000 0.750
Sn1 0.147 0.163 0.000
Sn2 0.163 0.853 0.500
Sn3 0.337 0.353 0.500
Sn4 0.353 0.663 0.000
Sn5 0.647 0.337 0.000
Sn6 0.663 0.647 0.500
Sn7 0.837 0.147 0.500
Sn8 0.853 0.837 0.000
O1 0.098 0.620 0.000
O2 0.120 0.598 0.500
O3 0.164 0.336 0.250
O4 0.164 0.336 0.750
O5 0.336 0.836 0.250
O6 0.336 0.836 0.750
O7 0.380 0.098 0.500
O8 0.402 0.120 0.000
O9 0.598 0.880 0.000
O10 0.620 0.902 0.500
O11 0.664 0.164 0.250
O12 0.664 0.164 0.750
O13 0.836 0.664 0.250
O14 0.836 0.664 0.750
O15 0.880 0.402 0.500
O16 0.902 0.380 0.000


Entry 10:
First-principles (r2SCAN) data for crystalline NiSO4 at its relaxed geometry, as listed in the Materials Project database.

## Properties
Space-group type: Cmcm, No. 63

Unit cell a=4.695 b=4.695 c=6.265 alpha=90.00 beta=90.00 gamma=113.46
Element x y z (fractional)
Ni1 0.000 0.000 0.000
Ni2 0.000 0.000 0.500
S1 0.351 0.649 0.750
S2 0.649 0.351 0.250
O1 0.229 0.300 0.750
O2 0.251 0.749 0.555
O3 0.251 0.749 0.945
O4 0.300 0.229 0.250
O5 0.700 0.771 0.750
O6 0.749 0.251 0.055
O7 0.749 0.251 0.445
O8 0.771 0.700 0.250


Entry 11:
First-principles (r2SCAN) data for crystalline CaErRh2 at its relaxed geometry, as listed in the Materials Project database.

## Properties
Space-group type: Fm-3m, No. 225

Unit cell a=4.771 b=4.771 c=4.771 alpha=60.00 beta=60.00 gamma=60.00
Element x y z (fractional)
Ca1 0.000 0.000 0.000
Er1 0.500 0.500 0.500
Rh1 0.250 0.250 0.250
Rh2 0.750 0.750 0.750


Entry 12:
First-principles (r2SCAN) data for crystalline YbGdTe2 at its relaxed geometry, as listed in the Materials Project database.

## Properties
Space-group type: R-3m, No. 166

Unit cell a=7.538 b=7.538 c=7.538 alpha=33.38 beta=33.38 gamma=33.38
Element x y z (fractional)
Yb1 0.000 0.000 0.000
Gd1 0.500 0.500 0.500
Te1 0.254 0.254 0.254
Te2 0.746 0.746 0.746


Entry 13:
First-principles (r2SCAN) data for crystalline PrTe2 at its relaxed geometry, as listed in the Materials Project database.

## Properties
Space-group type: P4/nmm, No. 129

Unit cell a=4.528 b=4.528 c=9.256 alpha=90.00 beta=90.00 gamma=90.00
Element x y z (fractional)
Pr1 0.250 0.250 0.228
Pr2 0.750 0.750 0.772
Te1 0.250 0.250 0.870
Te2 0.250 0.750 0.500
Te3 0.750 0.250 0.500
Te4 0.750 0.750 0.130


Entry 14:
First-principles (r2SCAN) data for crystalline Ba2Mg3F10 at its relaxed geometry, as listed in the Materials Project database.

## Properties
Space-group type: C2/m, No. 12

Unit cell a=9.717 b=9.717 c=7.795 alpha=110.98 beta=110.98 gamma=35.60
Element x y z (fractional)
Ba1 0.114 0.114 0.220
Ba2 0.217 0.217 0.814
Ba3 0.783 0.783 0.186
Ba4 0.886 0.886 0.780
Mg1 0.247 0.753 0.500
Mg2 0.323 0.323 0.485
Mg3 0.426 0.426 0.046
Mg4 0.574 0.574 0.954
Mg5 0.677 0.677 0.515
Mg6 0.753 0.247 0.500
F1 0.000 0.500 0.500
F2 0.017 0.017 0.680
F3 0.115 0.589 0.026
F4 0.138 0.642 0.475
F5 0.264 0.264 0.220
F6 0.281 0.719 0.000
F7 0.358 0.862 0.525
F8 0.366 0.366 0.757
F9 0.411 0.885 0.974
F10 0.478 0.478 0.318
F11 0.500 0.000 0.500
F12 0.522 0.522 0.682
F13 0.589 0.115 0.026
F14 0.634 0.634 0.243
F15 0.642 0.138 0.475
F16 0.719 0.281 0.000
F17 0.736 0.736 0.780
F18 0.862 0.358 0.525
F19 0.885 0.411 0.974
F20 0.983 0.983 0.320


What are the energy relative to the elements values for these records? In order: -7.3, -9.0, -21.0, -21.4, -2.6, -0.5, -11.5, -26.7, -15.4, -8.6, -2.7, -5.8, -4.5, -59.3 eV/f.u..
What are the spin magnetization values for these records? In order: 0.00, 0.00, 2.00, 0.00, 0.00, 1.28, 0.00, 0.00, 0.00, 2.00, 0.00, 7.15, 0.00, 0.00 μB/f.u..